First-principles (GGA-PBE) data for crystalline Na10Zr5Zn3P12O48 at its relaxed geometry, as listed in the Materials Project.

Cell: 9.0281 15.6173 22.7280 Å, 90.03 90.01 90.02°
Space group P1 (No. 1)
One atom of each set of equivalent atoms:
Na  0.0000  0.0000  0.0000
Na  0.0005  0.6626  0.3313
Na  0.0196  0.6989  0.6689
Na  0.0243  0.3642  0.0003
Na  0.0587  0.6697  0.0000
Na  0.0627  0.0040  0.6680
Na  0.1801  0.1784  0.2515
Na  0.1860  0.5067  0.9152
Na  0.1915  0.1886  0.7553
Na  0.1938  0.8447  0.0834
Na  0.2003  0.5059  0.4143
Na  0.2099  0.8441  0.5912
Na  0.3278  0.6699  0.5003
Na  0.3647  0.3645  0.5001
Na  0.3660  0.0313  0.8310
Na  0.3858  0.6660  0.8308
Na  0.3891  0.9994  0.5014
Na  0.4991  0.4994  0.0004
Na  0.5002  0.1625  0.3313
Na  0.5235  0.8643  0.9995
Na  0.5594  0.1700  0.0004
Na  0.6799  0.6785  0.2515
Na  0.6933  0.3449  0.5853
Na  0.6938  0.3447  0.0838
Na  0.6982  0.6802  0.7562
Na  0.7008  0.0060  0.4143
Na  0.7070  0.0104  0.9151
Na  0.8299  0.1697  0.5004
Na  0.8656  0.8647  0.5003
Na  0.8903  0.4996  0.5005
Zr  0.1913  0.5088  0.7647
Zr  0.1911  0.8449  0.9275
Zr  0.1955  0.1781  0.0999
Zr  0.1950  0.8465  0.4291
Zr  0.1961  0.8457  0.2255
Zr  0.1978  0.5087  0.2627
Zr  0.1987  0.1806  0.5995
Zr  0.6860  0.6776  0.5993
Zr  0.6937  0.3449  0.7273
Zr  0.6937  0.3446  0.9282
Zr  0.6951  0.6779  0.0999
Zr  0.6959  0.3457  0.2254
Zr  0.6963  0.3464  0.4283
Zr  0.6971  0.0093  0.7635
Zr  0.6976  0.0086  0.2626
Zn  0.1841  0.1784  0.3944
Zn  0.1861  0.1818  0.8949
Zn  0.1954  0.5099  0.5698
Zn  0.1945  0.5115  0.0695
Zn  0.2018  0.8440  0.7315
Zn  0.6847  0.6785  0.3941
Zn  0.6902  0.0116  0.5704
Zn  0.6945  0.0114  0.0695
Zn  0.7060  0.6795  0.8950
P  0.0420  0.6972  0.8251
P  0.0461  0.0325  0.4950
P  0.0469  0.3648  0.1586
P  0.0482  0.6582  0.1607
P  0.0481  0.9948  0.8261
P  0.0506  0.3250  0.4935
P  0.3370  0.6595  0.6610
P  0.3384  0.3247  0.9935
P  0.3416  0.9951  0.3289
P  0.3427  0.0320  0.9922
P  0.3434  0.3658  0.6591
P  0.3448  0.6969  0.3288
P  0.3975  0.0090  0.6603
P  0.3972  0.3434  0.3294
P  0.4009  0.6769  0.9922
P  0.4880  0.5109  0.1587
P  0.4889  0.1772  0.4915
P  0.4904  0.8430  0.8282
P  0.5425  0.1960  0.8287
P  0.5457  0.5322  0.4933
P  0.5472  0.4950  0.8290
P  0.5468  0.8648  0.1585
P  0.5482  0.1582  0.1607
P  0.5504  0.8253  0.4930
P  0.8380  0.8251  0.9941
P  0.8397  0.1585  0.6585
P  0.8418  0.4953  0.3287
P  0.8420  0.5322  0.9939
P  0.8449  0.1967  0.3286
P  0.8446  0.8641  0.6585
P  0.8972  0.8434  0.3294
P  0.9009  0.5105  0.6583
P  0.9017  0.1769  0.9941
P  0.9882  0.0109  0.1587
P  0.9875  0.6772  0.4934
P  0.9911  0.3422  0.8291
O  0.0018  0.1936  0.0491
O  0.0068  0.5239  0.7114
O  0.0072  0.8352  0.2775
O  0.0102  0.5181  0.0008
O  0.0108  0.1871  0.3321
O  0.0130  0.1627  0.6565
O  0.0133  0.8316  0.9897
O  0.0130  0.8533  0.6654
O  0.0139  0.5029  0.3237
O  0.0705  0.4136  0.1013
O  0.0755  0.0896  0.4423
O  0.0755  0.2671  0.5488
O  0.0770  0.7479  0.7696
O  0.0793  0.9379  0.8827
O  0.0833  0.6035  0.2163
O  0.0841  0.4258  0.8234
O  0.0865  0.0924  0.1569
O  0.0865  0.2631  0.8314
O  0.0865  0.7611  0.4901
O  0.0897  0.9318  0.1684
O  0.0924  0.5997  0.5003
O  0.1107  0.6202  0.1040
O  0.1131  0.4163  0.5006
O  0.1132  0.9515  0.7713
O  0.1141  0.4123  0.2124
O  0.1164  0.7412  0.8812
O  0.1163  0.7490  0.1688
O  0.1173  0.0719  0.5519
O  0.1197  0.2748  0.1572
O  0.1217  0.2841  0.4400
O  0.1228  0.0819  0.8334
O  0.1240  0.9418  0.4902
O  0.1282  0.6089  0.8234
O  0.2597  0.6099  0.3236
O  0.2645  0.7478  0.6670
O  0.2647  0.9410  0.9899
O  0.2678  0.0768  0.0461
O  0.2689  0.2833  0.9399
O  0.2699  0.2754  0.6574
O  0.2731  0.6188  0.6046
O  0.2738  0.7392  0.3855
O  0.2747  0.4129  0.7123
O  0.2758  0.0847  0.3314
O  0.2756  0.4160  0.0004
O  0.2782  0.9442  0.2767
O  0.2909  0.9331  0.6663
O  0.2962  0.5996  0.0004
O  0.2982  0.0925  0.6573
O  0.2999  0.7539  0.2763
O  0.3018  0.4252  0.3239
O  0.3018  0.7608  0.9897
O  0.3038  0.6032  0.7162
O  0.3072  0.2613  0.3322
O  0.3118  0.9412  0.3861
O  0.3135  0.2670  0.0489
O  0.3174  0.0838  0.9361
O  0.3203  0.4131  0.6011
O  0.3749  0.5019  0.8238
O  0.3757  0.1843  0.8310
O  0.3757  0.8319  0.4893
O  0.3767  0.1667  0.1577
O  0.3773  0.8539  0.1679
O  0.3777  0.5179  0.5003
O  0.3834  0.5209  0.2126
O  0.3840  0.1924  0.5455
O  0.3883  0.8300  0.7758
O  0.3922  0.8591  0.8853
O  0.3977  0.1645  0.4357
O  0.4031  0.4978  0.1014
O  0.4864  0.0003  0.6031
O  0.4910  0.6639  0.9360
O  0.4941  0.3559  0.3866
O  0.4989  0.0203  0.7153
O  0.5057  0.6922  0.0460
O  0.5073  0.3353  0.2775
O  0.5097  0.6667  0.6572
O  0.5105  0.0184  0.0005
O  0.5107  0.6873  0.3320
O  0.5125  0.3541  0.6683
O  0.5138  0.0029  0.3236
O  0.5138  0.3319  0.9897
O  0.5705  0.9136  0.1012
O  0.5729  0.5878  0.4398
O  0.5747  0.7670  0.5484
O  0.5783  0.4411  0.8859
O  0.5807  0.9285  0.8234
O  0.5831  0.1034  0.2163
O  0.5855  0.5927  0.1571
O  0.5873  0.2533  0.7763
O  0.5871  0.2612  0.4898
O  0.5872  0.7639  0.8351
O  0.5896  0.4319  0.1683
O  0.5920  0.0995  0.4998
O  0.6083  0.2383  0.8856
O  0.6105  0.4441  0.7766
O  0.6106  0.1203  0.1040
O  0.6111  0.5849  0.8311
O  0.6127  0.9164  0.5006
O  0.6144  0.9121  0.2124
O  0.6160  0.2491  0.1688
O  0.6165  0.1059  0.8229
O  0.6192  0.5737  0.5488
O  0.6191  0.7747  0.1570
O  0.6219  0.7842  0.4397
O  0.6234  0.4413  0.4899
O  0.7597  0.1098  0.3235
O  0.7651  0.4408  0.9899
O  0.7671  0.7846  0.9405
O  0.7683  0.5738  0.0492
O  0.7740  0.2390  0.3854
O  0.7739  0.7726  0.6559
O  0.7750  0.2489  0.6683
O  0.7749  0.9106  0.7124
O  0.7762  0.5848  0.3314
O  0.7764  0.9166  0.0010
O  0.7781  0.4442  0.2767
O  0.7794  0.1225  0.6007
O  0.7960  0.0999  0.0012
O  0.7968  0.4334  0.6681
O  0.8001  0.2539  0.2763
O  0.8016  0.9251  0.3238
O  0.8031  0.2610  0.9898
O  0.8058  0.0984  0.7112
O  0.8074  0.7612  0.3322
O  0.8090  0.5955  0.6560
O  0.8121  0.4414  0.3861
O  0.8135  0.7670  0.0492
O  0.8149  0.5875  0.9403
O  0.8174  0.9159  0.6021
O  0.8759  0.0019  0.8229
O  0.8755  0.3319  0.4895
O  0.8774  0.3539  0.1680
O  0.8766  0.6668  0.1578
O  0.8771  0.6842  0.8329
O  0.8779  0.0177  0.5006
O  0.8831  0.3370  0.7762
O  0.8836  0.0211  0.2126
O  0.8871  0.6919  0.5487
O  0.8945  0.3544  0.8861
O  0.8939  0.6645  0.4380
O  0.9032  0.9978  0.1015
O  0.9852  0.4976  0.6008
O  0.9938  0.8559  0.3866
O  0.9974  0.1615  0.9403

Properties
Electronic total energy, eV/atom: -7.07
Energy relative to the elements, eV/atom: -2.85
ρ, g/cm³: 3.14
Crystal system: triclinic